VASP calculation (r²SCAN) on a relaxed Cs3Ge4Au crystal.

Cell and atoms, written as POSCAR:
```
Cs3Ge4Au
1.0
6.1549 0.0000 0.0000
0.0000 7.2750 0.0000
0.0000 0.0000 13.1560
Cs Ge Au
6 8 2
Direct
0.1555 0.2500 0.0162 Cs
0.1555 0.2500 0.4838 Cs
0.8445 0.7500 0.9838 Cs
0.8445 0.7500 0.5162 Cs
0.5670 0.2500 0.2500 Cs
0.4330 0.7500 0.7500 Cs
0.0648 0.5634 0.2500 Ge
0.0648 0.9366 0.2500 Ge
0.9352 0.0634 0.7500 Ge
0.9352 0.4366 0.7500 Ge
0.6647 0.2500 0.6460 Ge
0.6647 0.2500 0.8540 Ge
0.3353 0.7500 0.3540 Ge
0.3353 0.7500 0.1460 Ge
0.3016 0.2500 0.7500 Au
0.6984 0.7500 0.2500 Au
```

Properties
Uncorrected energy, eV per atom: -23.01
Size of the total moment, μB per formula unit: 0.00

=====

VASP calculation (r²SCAN) on a relaxed MgHg crystal.

Cell and atoms, written as POSCAR:
```
MgHg
1.0
3.4471 0.0000 0.0000
0.0000 3.4471 0.0000
0.0000 0.0000 3.4471
Mg Hg
1 1
Direct
0.5000 0.5000 0.5000 Mg
0.0000 0.0000 0.0000 Hg
```

Properties
Uncorrected energy, eV per atom: -26.98
Size of the total moment, μB per formula unit: 0.00

=====

VASP calculation (r²SCAN) on a relaxed PW6Cl17 crystal.

Cell and atoms, written as POSCAR:
```
PW6Cl17
1.0
-3.4189 5.1936 8.1710
3.4191 -5.1934 8.1710
3.4074 5.1860 -8.1709
P W Cl
1 6 17
Direct
0.8161 0.5090 0.3250 P
0.6240 0.2978 0.9217 W
0.6220 0.7113 0.3333 W
0.6168 0.3575 0.2548 W
0.8973 0.6380 0.2548 W
0.9401 0.4246 0.5174 W
0.0928 0.5773 0.5174 W
0.4668 0.0010 0.4678 Cl
0.7672 0.0070 0.7742 Cl
0.4369 0.4992 0.9361 Cl
0.4478 0.1062 0.8440 Cl
0.7372 0.8865 0.3327 Cl
0.4462 0.5955 0.3327 Cl
0.7379 0.3962 0.8440 Cl
0.7639 0.0859 0.1563 Cl
0.0730 0.9147 0.6781 Cl
0.7634 0.6051 0.6781 Cl
0.0704 0.3923 0.1563 Cl
0.1345 0.7515 0.8861 Cl
0.1331 0.2499 0.3831 Cl
0.4715 0.2157 0.2535 Cl
0.0378 0.7819 0.2534 Cl
0.0225 0.3297 0.6887 Cl
0.3589 0.6661 0.6887 Cl
```

Properties
Uncorrected energy, eV per atom: -18.46
Size of the total moment, μB per formula unit: 2.01

=====

VASP calculation (r²SCAN) on a relaxed NdMgAu crystal.

Cell and atoms, written as POSCAR:
```
NdMgAu
1.0
3.8833 -6.7260 0.0000
3.8833 6.7260 0.0000
0.0000 0.0000 4.1631
Nd Mg Au
3 3 3
Direct
0.5850 0.0000 0.0000 Nd
0.0000 0.5850 0.0000 Nd
0.4150 0.4150 0.0000 Nd
0.2396 0.0000 0.5000 Mg
0.0000 0.2396 0.5000 Mg
0.7604 0.7604 0.5000 Mg
0.3333 0.6667 0.5000 Au
0.6667 0.3333 0.5000 Au
0.0000 0.0000 0.0000 Au
```

Properties
Uncorrected energy, eV per atom: -28.77
Size of the total moment, μB per formula unit: 0.00

=====

VASP calculation (r²SCAN) on a relaxed LaNb7O12 crystal.

Cell and atoms, written as POSCAR:
```
LaNb7O12
1.0
-1.9611 -8.7063 -2.4819
7.8611 0.1819 -6.8493
8.6035 -3.5496 5.6537
La Nb O
4 28 48
Direct
0.5166 0.9504 0.3350 La
0.0166 0.5496 0.6650 La
0.4834 0.0496 0.6650 La
0.9834 0.4504 0.3350 La
0.8805 0.8153 0.4191 Nb
0.3805 0.6847 0.5809 Nb
0.1195 0.1847 0.5809 Nb
0.6195 0.3153 0.4191 Nb
0.8837 0.0922 0.2800 Nb
0.3837 0.4078 0.7200 Nb
0.1163 0.9078 0.7200 Nb
0.6163 0.5922 0.2800 Nb
0.8739 0.8825 0.1556 Nb
0.3739 0.6175 0.8444 Nb
0.1261 0.1175 0.8444 Nb
0.6261 0.3825 0.1556 Nb
0.8656 0.0318 0.5883 Nb
0.3656 0.4682 0.4117 Nb
0.1344 0.9682 0.4117 Nb
0.6344 0.5318 0.5883 Nb
0.1277 0.0385 0.1492 Nb
0.6277 0.4615 0.8508 Nb
0.8723 0.9615 0.8508 Nb
0.3723 0.5385 0.1492 Nb
0.8763 0.2320 0.7172 Nb
0.3763 0.2680 0.2828 Nb
0.1237 0.7680 0.2828 Nb
0.6237 0.7320 0.7172 Nb
0.8859 0.6604 0.0003 Nb
0.3859 0.8396 0.9997 Nb
0.1141 0.3396 0.9997 Nb
0.6141 0.1604 0.0003 Nb
0.7727 0.4212 0.7191 O
0.2727 0.0788 0.2809 O
0.2273 0.5788 0.2809 O
0.7273 0.9212 0.7191 O
0.7344 0.0454 0.1519 O
0.2344 0.4546 0.8481 O
0.2656 0.9546 0.8481 O
0.7656 0.5454 0.1519 O
0.7286 0.1867 0.5867 O
0.2286 0.3133 0.4133 O
0.2714 0.8133 0.4133 O
0.7714 0.6867 0.5867 O
0.7703 0.2798 0.2917 O
0.2703 0.2202 0.7083 O
0.2297 0.7202 0.7083 O
0.7297 0.7798 0.2917 O
0.7475 0.9812 0.4239 O
0.2475 0.5188 0.5761 O
0.2525 0.0188 0.5761 O
0.7525 0.4812 0.4239 O
0.2595 0.8786 0.1367 O
0.7595 0.6214 0.8633 O
0.7405 0.1214 0.8633 O
0.2405 0.3786 0.1367 O
0.7660 0.8166 0.0044 O
0.2660 0.6834 0.9956 O
0.2340 0.1834 0.9956 O
0.7340 0.3166 0.0044 O
0.0000 0.5000 0.0000 O
0.5000 0.0000 0.0000 O
0.9993 0.8619 0.5692 O
0.4993 0.6381 0.4308 O
0.0007 0.1381 0.4308 O
0.5007 0.3619 0.5692 O
0.0000 0.0000 0.0000 O
0.5000 0.5000 0.0000 O
0.9911 0.7064 0.1515 O
0.4911 0.7936 0.8485 O
0.0089 0.2936 0.8485 O
0.5089 0.2064 0.1515 O
0.9953 0.7846 0.8617 O
0.4953 0.7154 0.1383 O
0.0047 0.2154 0.1383 O
0.5047 0.2846 0.8617 O
0.0020 0.6429 0.4300 O
0.5020 0.8571 0.5700 O
0.9980 0.3571 0.5700 O
0.4980 0.1429 0.4300 O
```

Properties
Uncorrected energy, eV per atom: -16.42
Size of the total moment, μB per formula unit: 0.00

=====

VASP calculation (r²SCAN) on a relaxed PuCu2 crystal.

Cell and atoms, written as POSCAR:
```
PuCu2
1.0
-2.2465 2.9360 3.8951
2.2465 -2.9426 3.8998
2.2465 2.9426 -3.8998
Pu Cu
2 4
Direct
0.7508 0.5006 0.2501 Pu
0.2492 0.4993 0.7499 Pu
0.1681 0.1667 0.0014 Cu
0.8323 0.8333 0.9990 Cu
0.6654 0.1668 0.4986 Cu
0.3342 0.8332 0.5010 Cu
```

Properties
Uncorrected energy, eV per atom: -36.10
Size of the total moment, μB per formula unit: 5.72

=====

VASP calculation (r²SCAN) on a relaxed Na4FeO5 crystal.

Cell and atoms, written as POSCAR:
```
Na4FeO5
1.0
-4.4087 -3.2891 -0.2436
0.7280 -0.1880 9.8014
-4.3488 8.0437 -3.3736
Na Fe O
16 4 20
Direct
0.4880 0.0930 0.9007 Na
0.9968 0.1909 0.8053 Na
0.2498 0.5477 0.9402 Na
0.7208 0.6424 0.8437 Na
0.0000 0.0000 0.0000 Na
0.9993 0.3913 0.5943 Na
0.7689 0.0657 0.4583 Na
0.2790 0.1521 0.3569 Na
0.5000 0.5000 0.5000 Na
0.7210 0.8479 0.6431 Na
0.2311 0.9343 0.5417 Na
0.0007 0.6087 0.4057 Na
0.2792 0.3576 0.1563 Na
0.7502 0.4523 0.0598 Na
0.0032 0.8091 0.1947 Na
0.5120 0.9070 0.0993 Na
0.4886 0.2605 0.7095 Fe
0.2175 0.7678 0.7853 Fe
0.7825 0.2322 0.2147 Fe
0.5114 0.7395 0.2905 Fe
0.3884 0.3151 0.8882 O
0.1242 0.7766 0.9525 O
0.6012 0.0950 0.6832 O
0.7795 0.3950 0.8016 O
0.1872 0.1863 0.6010 O
0.3092 0.5837 0.7179 O
0.5342 0.8482 0.8473 O
0.1211 0.9307 0.7706 O
0.5945 0.2955 0.5556 O
0.9421 0.6495 0.6508 O
0.0579 0.3505 0.3492 O
0.4055 0.7045 0.4444 O
0.8789 0.0693 0.2294 O
0.4658 0.1518 0.1527 O
0.6908 0.4163 0.2821 O
0.8128 0.8137 0.3990 O
0.2205 0.6050 0.1984 O
0.3988 0.9050 0.3168 O
0.8758 0.2234 0.0475 O
0.6116 0.6849 0.1118 O
```

Properties
Uncorrected energy, eV per atom: -7.38
Size of the total moment, μB per formula unit: 4.00

=====

VASP calculation (r²SCAN) on a relaxed CsLaHgSe3 crystal.

Cell and atoms, written as POSCAR:
```
CsLaHgSe3
1.0
-3.6456 2.3460 -7.1158
0.5289 -5.4316 6.2966
-7.6702 6.1647 5.9621
Cs La Hg Se
2 2 2 6
Direct
0.2556 0.7444 0.7500 Cs
0.7444 0.2556 0.2500 Cs
0.0000 0.0000 0.5000 La
0.0000 0.0000 0.0000 La
0.4578 0.5422 0.2500 Hg
0.5422 0.4578 0.7500 Hg
0.0624 0.9376 0.2500 Se
0.9376 0.0624 0.7500 Se
0.6231 0.3769 0.5522 Se
0.6231 0.3769 0.9478 Se
0.3769 0.6231 0.0522 Se
0.3769 0.6231 0.4478 Se
```

Properties
Uncorrected energy, eV per atom: -26.04
Size of the total moment, μB per formula unit: 0.00

=====

VASP calculation (r²SCAN) on a relaxed Al2O3 crystal.

Cell and atoms, written as POSCAR:
```
Al2O3
1.0
-1.0707 -1.6435 2.1461
5.1830 -0.7145 2.0387
-1.4238 5.6658 1.6591
Al O
4 6
Direct
0.9095 0.2044 0.8191 Al
0.0905 0.7956 0.1809 Al
0.6580 0.3175 0.3161 Al
0.3420 0.6825 0.6839 Al
0.8393 0.8910 0.6786 O
0.1607 0.1090 0.3214 O
0.5048 0.7425 0.0096 O
0.4952 0.2575 0.9904 O
0.1735 0.5669 0.3470 O
0.8265 0.4331 0.6530 O
```

Properties
Uncorrected energy, eV per atom: -9.61
Size of the total moment, μB per formula unit: 0.00

=====

VASP calculation (r²SCAN) on a relaxed Tb5Te9 crystal.

Cell and atoms, written as POSCAR:
```
Tb5Te9
1.0
9.6798 0.0000 0.0000
-0.0005 9.6791 0.0000
0.0000 0.0000 18.0029
Tb Te
20 36
Direct
0.6985 0.0967 0.1213 Tb
0.3015 0.9033 0.1213 Tb
0.9047 0.6993 0.1191 Tb
0.0953 0.3007 0.1191 Tb
0.7041 0.0900 0.6174 Tb
0.2959 0.9100 0.6174 Tb
0.8984 0.6979 0.6140 Tb
0.1016 0.3021 0.6140 Tb
0.5000 0.5000 0.6320 Tb
0.8021 0.3984 0.3921 Tb
0.1979 0.6016 0.3921 Tb
0.5900 0.7959 0.3887 Tb
0.4100 0.2041 0.3887 Tb
0.0000 0.0000 0.8987 Tb
0.0000 0.0000 0.3741 Tb
0.5000 0.5000 0.1075 Tb
0.8007 0.4047 0.8869 Tb
0.1993 0.5953 0.8869 Tb
0.5967 0.8015 0.8847 Tb
0.4033 0.1985 0.8847 Tb
0.8836 0.2101 0.2522 Te
0.1164 0.7899 0.2522 Te
0.7766 0.8630 0.2524 Te
0.2234 0.1370 0.2524 Te
0.5000 0.0000 0.2495 Te
0.0000 0.5000 0.2516 Te
0.0000 0.0000 0.0733 Te
0.5000 0.0000 0.7564 Te
0.0000 0.5000 0.7545 Te
0.9022 0.7021 0.9391 Te
0.0978 0.2979 0.9391 Te
0.2972 0.9005 0.9396 Te
0.7028 0.0995 0.9396 Te
0.5000 0.5000 0.4522 Te
0.8021 0.3944 0.5705 Te
0.1979 0.6056 0.5705 Te
0.5979 0.7998 0.5690 Te
0.4021 0.2002 0.5690 Te
0.8944 0.6979 0.4356 Te
0.1056 0.3021 0.4356 Te
0.2999 0.9021 0.4371 Te
0.7001 0.0979 0.4371 Te
0.7979 0.4023 0.0669 Te
0.2021 0.5977 0.0669 Te
0.5994 0.7972 0.0663 Te
0.4006 0.2028 0.0663 Te
0.0000 0.0000 0.5540 Te
0.5000 0.5000 0.9329 Te
0.7102 0.6163 0.7538 Te
0.2898 0.3837 0.7538 Te
0.3630 0.7232 0.7536 Te
0.6370 0.2768 0.7536 Te
0.1196 0.0874 0.7431 Te
0.8804 0.9126 0.7431 Te
0.5874 0.3804 0.2630 Te
0.4126 0.6196 0.2630 Te
```

Properties
Uncorrected energy, eV per atom: -28.99
Size of the total moment, μB per formula unit: 0.00

=====

VASP calculation (r²SCAN) on a relaxed La4Co crystal.

Cell and atoms, written as POSCAR:
```
La4Co
1.0
4.9008 5.0473 3.3735
-1.7710 3.1187 6.9290
3.9980 -2.1034 6.3612
La Co
8 2
Direct
0.3835 0.3835 0.3835 La
0.3835 0.3835 0.8494 La
0.3835 0.8494 0.3835 La
0.8665 0.8665 0.4006 La
0.8665 0.8665 0.8665 La
0.8494 0.3835 0.3835 La
0.8665 0.4006 0.8665 La
0.4006 0.8665 0.8665 La
0.0000 0.0000 0.0000 Co
0.2500 0.2500 0.2500 Co
```

Properties
Uncorrected energy, eV per atom: -26.19
Size of the total moment, μB per formula unit: 0.00

=====

VASP calculation (r²SCAN) on a relaxed Ba8Dy3Pt4O18 crystal.

Cell and atoms, written as POSCAR:
```
Ba8Dy3Pt4O18
1.0
8.4119 0.0000 0.0000
0.0000 8.4119 0.0000
0.0000 0.0000 8.4119
Ba Dy Pt O
8 3 4 18
Direct
0.2375 0.2375 0.2375 Ba
0.7625 0.7625 0.7625 Ba
0.7625 0.7625 0.2375 Ba
0.7625 0.2375 0.7625 Ba
0.2375 0.2375 0.7625 Ba
0.2375 0.7625 0.2375 Ba
0.2375 0.7625 0.7625 Ba
0.7625 0.2375 0.2375 Ba
0.5000 0.0000 0.0000 Dy
0.0000 0.5000 0.0000 Dy
0.0000 0.0000 0.5000 Dy
0.0000 0.0000 0.0000 Pt
0.0000 0.5000 0.5000 Pt
0.5000 0.0000 0.5000 Pt
0.5000 0.5000 0.0000 Pt
0.2384 0.0000 0.0000 O
0.7616 0.0000 0.0000 O
0.0000 0.2384 0.0000 O
0.0000 0.7616 0.0000 O
0.0000 0.0000 0.2384 O
0.0000 0.0000 0.7616 O
0.2620 0.5000 0.0000 O
0.7380 0.5000 0.0000 O
0.0000 0.2620 0.5000 O
0.5000 0.2620 0.0000 O
0.0000 0.7380 0.5000 O
0.5000 0.7380 0.0000 O
0.5000 0.0000 0.2620 O
0.2620 0.0000 0.5000 O
0.5000 0.0000 0.7380 O
0.7380 0.0000 0.5000 O
0.0000 0.5000 0.2620 O
0.0000 0.5000 0.7380 O
```

Properties
Uncorrected energy, eV per atom: -21.35
Size of the total moment, μB per formula unit: 1.10

=====

VASP calculation (r²SCAN) on a relaxed SnP3O9 crystal.

Cell and atoms, written as POSCAR:
```
SnP3O9
1.0
3.4151 -5.9152 0.0000
3.4151 5.9152 0.0000
0.0000 0.0000 10.4148
Sn P O
2 6 18
Direct
0.0000 0.0000 0.5000 Sn
0.0000 0.0000 0.0000 Sn
0.7264 0.1222 0.7780 P
0.8778 0.2736 0.2220 P
0.7264 0.6042 0.2219 P
0.8778 0.6042 0.7780 P
0.3958 0.2736 0.7781 P
0.3958 0.1222 0.2220 P
0.8973 0.5127 0.1972 O
0.8973 0.3846 0.8028 O
0.4873 0.1027 0.8028 O
0.6154 0.1027 0.1972 O
0.7461 0.0517 0.6481 O
0.7543 0.9976 0.8897 O
0.4873 0.3846 0.1972 O
0.7461 0.6944 0.3519 O
0.7543 0.7566 0.1103 O
0.6154 0.5127 0.8028 O
0.9483 0.2539 0.3519 O
0.0024 0.2457 0.1103 O
0.2434 0.2457 0.8897 O
0.3056 0.2539 0.6481 O
0.0024 0.7566 0.8897 O
0.9483 0.6944 0.6481 O
0.2434 0.9976 0.1103 O
0.3056 0.0517 0.3519 O
```

Properties
Uncorrected energy, eV per atom: -10.29
Size of the total moment, μB per formula unit: 0.00

=====

VASP calculation (r²SCAN) on a relaxed Ca3Mg crystal.

Cell and atoms, written as POSCAR:
```
Ca3Mg
1.0
-3.8171 -3.6608 0.0120
3.2866 -3.4192 2.3407
-1.6124 1.6968 4.7426
Ca Mg
3 1
Direct
0.5000 0.5000 0.0000 Ca
0.5000 0.0000 0.5000 Ca
0.0000 0.5000 0.5000 Ca
0.0000 0.0000 0.0000 Mg
```

Properties
Uncorrected energy, eV per atom: -6.32
Size of the total moment, μB per formula unit: 0.00

=====

no.,DFT formation energy (eV/atom)
1,-0.336
2,-0.210
3,-0.885
4,-0.708
5,-2.697
6,-0.082
7,-1.524
8,-1.510
9,-3.333
10,-1.499
11,0.250
12,-2.517
13,-2.172
14,-0.001